Computed, not measured: crystalline Li9Mn2Co5O16 at its relaxed geometry at the PBE with a Hubbard U level of DFT.

POSCAR file:
```
Li9Mn2Co5O16
1.0
-0.741 0.285 -5.849
-1.783 -6.106 -1.562
-7.529 1.740 -0.264
Co Li O Mn
5 9 16 2
direct
0.750 0.500 0.499
0.620 0.252 0.257
0.373 0.750 0.736
0.881 0.740 0.744
0.128 0.255 0.262
0.070 0.134 0.619
0.189 0.376 0.878
0.437 0.869 0.376
0.685 0.376 0.873
0.940 0.862 0.385
0.554 0.139 0.621
0.313 0.622 0.122
0.251 0.500 0.500
0.812 0.622 0.128
0.916 0.289 0.072
0.584 0.711 0.931
0.231 0.943 0.167
0.338 0.189 0.424
0.841 0.207 0.438
0.553 0.540 0.322
0.154 0.818 0.579
0.305 0.061 0.818
0.093 0.700 0.932
0.004 0.551 0.329
0.946 0.456 0.680
0.660 0.790 0.562
0.409 0.298 0.066
0.694 0.953 0.182
0.772 0.044 0.832
0.496 0.453 0.671
0.003 0.996 0.000
0.498 0.001 0.998
```

Calculated values
magnetization	8.00	μB per cell
energy above the most stable polymorph in this dataset	41.8	meV/atom
SG	P1, No. 1
VASP energy	-5.8128	eV/atom
formation energy	-1.8223	eV/atom



Computed, not measured: crystalline NaCr4O8 at its relaxed geometry at the PBE with a Hubbard U level of DFT.

POSCAR file:
```
NaCr4O8
1.0
0.000 2.988 0.000
-6.988 1.494 0.016
0.028 -1.494 6.948
O Cr Na
8 4 1
direct
0.152 0.047 0.351
0.837 0.703 0.377
0.200 0.648 0.047
0.460 0.378 0.298
0.848 0.953 0.649
0.163 0.297 0.623
0.800 0.352 0.953
0.540 0.622 0.702
0.165 0.487 0.816
0.348 0.818 0.513
0.835 0.513 0.184
0.652 0.182 0.487
0.500 0.000 0.000
```

Calculated values
magnetization	9.00	μB per cell
SG	C2/m, No. 12
VASP energy	-7.1848	eV/atom
formation energy	-2.1059	eV/atom



Computed, not measured: crystalline NaEuNi4O12 at its relaxed geometry at the PBE with a Hubbard U level of DFT.

POSCAR file:
```
NaEuNi4O12
1.0
3.848 3.096 1.578
0.172 -2.972 4.245
5.132 -4.622 -3.443
Ni O Eu Na
4 12 1 1
direct
0.998 0.500 0.744
0.998 0.500 0.256
0.500 0.002 0.744
0.500 0.002 0.256
0.688 0.690 0.244
0.688 0.690 0.756
0.310 0.312 0.244
0.806 0.194 0.306
0.310 0.312 0.756
0.939 0.448 0.000
0.552 0.061 0.000
0.204 0.796 0.188
0.446 0.957 0.500
0.204 0.796 0.812
0.806 0.194 0.694
0.043 0.554 0.500
0.478 0.522 0.000
0.017 0.983 0.500
```

Calculated values
magnetization	2.00	μB per cell
SG	Amm2, No. 38
VASP energy	-4.9774	eV/atom
formation energy	-0.7736	eV/atom



Computed, not measured: crystalline Li9Mn2Co5O16 at its relaxed geometry at the PBE with a Hubbard U level of DFT.

POSCAR file:
```
Li9Mn2Co5O16
1.0
-5.517 0.641 -3.548
-4.198 -4.838 1.864
-5.375 2.152 5.064
O Li Mn Co
16 9 2 5
direct
0.026 0.709 0.346
0.527 0.193 0.856
0.714 0.560 0.904
0.473 0.807 0.144
0.359 0.911 0.789
0.115 0.165 0.023
0.885 0.835 0.977
0.139 0.587 0.730
0.774 0.956 0.614
0.383 0.349 0.477
0.861 0.413 0.270
0.286 0.440 0.096
0.226 0.044 0.386
0.641 0.089 0.211
0.974 0.291 0.654
0.617 0.651 0.523
0.933 0.059 0.318
0.817 0.183 0.936
0.692 0.309 0.559
0.308 0.691 0.441
0.566 0.424 0.195
0.500 0.000 0.500
0.067 0.941 0.682
0.434 0.576 0.805
0.183 0.817 0.064
0.377 0.123 0.128
0.623 0.877 0.872
0.000 0.500 0.000
0.251 0.244 0.742
0.869 0.632 0.622
0.749 0.756 0.258
0.131 0.368 0.378
```

Calculated values
magnetization	6.00	μB per cell
energy above the most stable polymorph in this dataset	28.9	meV/atom
SG	P-1, No. 2
VASP energy	-5.8257	eV/atom
formation energy	-1.8352	eV/atom